1.
! Mn2NiO4 | the Materials Project database | meta-GGA r2SCAN | optimized geometry; values from VASP
&SYSTEM
  ibrav = 0, nat = 14, ntyp = 3
/
ATOMIC_SPECIES
O 16.00 O.upf
Ni 58.69 Ni.upf
Mn 54.94 Mn.upf
CELL_PARAMETERS angstrom
0.664 -5.821 0.265
-1.531 2.546 -5.140
5.489 0.724 2.159
ATOMIC_POSITIONS crystal
O 0.622 0.245 0.404
O 0.117 0.701 0.851
O 0.584 0.701 0.851
O 0.622 0.245 0.840
O 0.128 0.255 0.410
O 0.128 0.255 0.846
O 0.165 0.799 0.399
O 0.633 0.799 0.399
Ni 0.375 0.750 0.125
Ni 0.375 0.750 0.625
Mn 0.875 0.250 0.625
Mn 0.994 0.989 0.994
Mn 0.375 0.250 0.625
Mn 0.755 0.511 0.255
! Formation enthalpy at 0 K   -1.843 eV/atom
! Final energy   -11.16 eV per atom
! V   147.1 Å³ per cell

2.
! MnV3Ni2P6O24 | the Materials Project database | meta-GGA r2SCAN | optimized geometry; values from VASP
&SYSTEM
  ibrav = 0, nat = 36, ntyp = 5
/
ATOMIC_SPECIES
O 16.00 O.upf
Ni 58.69 Ni.upf
P 30.97 P.upf
V 50.94 V.upf
Mn 54.94 Mn.upf
CELL_PARAMETERS angstrom
7.160 -4.251 0.000
7.160 4.251 0.000
4.636 0.000 6.917
ATOMIC_POSITIONS crystal
O 0.610 0.818 0.010
O 0.410 0.755 0.559
O 0.382 0.184 0.997
O 0.589 0.243 0.436
O 0.243 0.436 0.589
O 0.497 0.685 0.882
O 0.255 0.911 0.058
O 0.952 0.739 0.092
O 0.739 0.092 0.952
O 0.997 0.382 0.184
O 0.111 0.492 0.331
O 0.058 0.255 0.911
O 0.010 0.610 0.818
O 0.492 0.331 0.111
O 0.755 0.559 0.410
O 0.559 0.410 0.755
O 0.685 0.882 0.497
O 0.184 0.997 0.382
O 0.092 0.952 0.739
O 0.818 0.010 0.610
O 0.882 0.497 0.685
O 0.331 0.111 0.492
O 0.436 0.589 0.243
O 0.911 0.058 0.255
Ni 0.499 0.499 0.499
Ni 0.000 0.000 0.000
P 0.456 0.751 0.044
P 0.543 0.251 0.956
P 0.044 0.456 0.751
P 0.751 0.044 0.456
P 0.956 0.543 0.251
P 0.251 0.956 0.543
V 0.141 0.141 0.141
V 0.357 0.357 0.357
V 0.642 0.642 0.642
Mn 0.859 0.859 0.859
! Formation enthalpy at 0 K   -2.314 eV/atom
! Final energy   -10.04 eV per atom
! V   421.1 Å³ per cell